A plane-wave DFT calculation with PBE-GGA was carried out for a relaxed structure of Bi9Ir2I3.

Results
Space-group type   No. 62
Formation energy from the elements   -0.24 eV per atom
Magnetization   0.010 μB per cell
Calculated total energy   -4.25 eV/atom
ρ   9.1 Mg/m³

Cell lengths 27.6363, 14.0933, 9.9132 Å; angles 90.00, 90.00, 90.00 degrees
Element x y z (fractional)
Bi  0.0427  0.0368  0.2442
Bi  0.0427  0.4632  0.2442
Bi  0.0449  0.7500  0.2791
Bi  0.0791  0.6360  0.0106
Bi  0.0791  0.8640  0.0106
Bi  0.0830  0.5284  0.5135
Bi  0.0830  0.9716  0.5135
Bi  0.0841  0.2500  0.4882
Bi  0.1071  0.2500  0.1643
Bi  0.1471  0.7500  0.4507
Bi  0.1665  0.0314  0.0929
Bi  0.1665  0.4686  0.0929
Bi  0.1712  0.7500  0.1295
Bi  0.1775  0.1355  0.6007
Bi  0.1775  0.3645  0.6007
Bi  0.2096  0.2500  0.3287
Bi  0.2110  0.5343  0.3572
Bi  0.2110  0.9657  0.3572
Bi  0.2890  0.0343  0.8572
Bi  0.2890  0.4657  0.8572
Bi  0.2904  0.7500  0.8287
Bi  0.3225  0.6355  0.1007
Bi  0.3225  0.8645  0.1007
Bi  0.3288  0.2500  0.6295
Bi  0.3335  0.5314  0.5929
Bi  0.3335  0.9686  0.5929
Bi  0.3529  0.2500  0.9507
Bi  0.3929  0.7500  0.6643
Bi  0.4159  0.7500  0.9882
Bi  0.4170  0.0284  0.0135
Bi  0.4170  0.4716  0.0135
Bi  0.4209  0.1360  0.5106
Bi  0.4209  0.3640  0.5106
Bi  0.4551  0.2500  0.7791
Bi  0.4573  0.5368  0.7442
Bi  0.4573  0.9632  0.7442
Bi  0.5427  0.0368  0.2558
Bi  0.5427  0.4632  0.2558
Bi  0.5449  0.7500  0.2209
Bi  0.5791  0.6360  0.4894
Bi  0.5791  0.8640  0.4894
Bi  0.5830  0.5284  0.9865
Bi  0.5830  0.9716  0.9865
Bi  0.5841  0.2500  0.0118
Bi  0.6071  0.2500  0.3357
Bi  0.6471  0.7500  0.0493
Bi  0.6665  0.0314  0.4071
Bi  0.6665  0.4686  0.4071
Bi  0.6712  0.7500  0.3705
Bi  0.6775  0.1355  0.8993
Bi  0.6775  0.3645  0.8993
Bi  0.7096  0.2500  0.1713
Bi  0.7110  0.5343  0.1427
Bi  0.7110  0.9657  0.1427
Bi  0.7890  0.0343  0.6428
Bi  0.7890  0.4657  0.6428
Bi  0.7904  0.7500  0.6713
Bi  0.8225  0.6355  0.3993
Bi  0.8225  0.8645  0.3993
Bi  0.8288  0.2500  0.8705
Bi  0.8335  0.5314  0.9071
Bi  0.8335  0.9686  0.9071
Bi  0.8529  0.2500  0.5493
Bi  0.8929  0.7500  0.8357
Bi  0.9159  0.7500  0.5118
Bi  0.9170  0.0284  0.4865
Bi  0.9170  0.4716  0.4865
Bi  0.9209  0.1360  0.9894
Bi  0.9209  0.3640  0.9894
Bi  0.9551  0.2500  0.7209
Bi  0.9573  0.5368  0.7558
Bi  0.9573  0.9632  0.7558
Ir  0.1186  0.6008  0.2683
Ir  0.1186  0.8992  0.2683
Ir  0.1351  0.1008  0.3462
Ir  0.1351  0.3992  0.3462
Ir  0.3649  0.6008  0.8462
Ir  0.3649  0.8992  0.8462
Ir  0.3814  0.1008  0.7683
Ir  0.3814  0.3992  0.7683
Ir  0.6186  0.6008  0.2317
Ir  0.6186  0.8992  0.2317
Ir  0.6351  0.1008  0.1538
Ir  0.6351  0.3992  0.1538
Ir  0.8649  0.6008  0.6538
Ir  0.8649  0.8992  0.6538
Ir  0.8814  0.1008  0.7317
Ir  0.8814  0.3992  0.7317
I  0.0313  0.7500  0.6702
I  0.0631  0.1030  0.8386
I  0.0631  0.3970  0.8386
I  0.1781  0.6026  0.7733
I  0.1781  0.8974  0.7733
I  0.2198  0.2500  0.9549
I  0.2802  0.7500  0.4549
I  0.3219  0.1026  0.2733
I  0.3219  0.3974  0.2733
I  0.4369  0.6030  0.3386
I  0.4369  0.8970  0.3386
I  0.4687  0.2500  0.1702
I  0.5313  0.7500  0.8298
I  0.5631  0.1030  0.6614
I  0.5631  0.3970  0.6614
I  0.6781  0.6026  0.7267
I  0.6781  0.8974  0.7267
I  0.7198  0.2500  0.5451
I  0.7802  0.7500  0.0451
I  0.8219  0.1026  0.2267
I  0.8219  0.3974  0.2267
I  0.9369  0.6030  0.1614
I  0.9369  0.8970  0.1614
I  0.9687  0.2500  0.3298



A plane-wave DFT calculation with PBE-GGA was carried out for a relaxed structure of Sr3As4.

Results
Space-group type   No. 43
Formation energy from the elements   -0.96 eV per atom
Energy above the most stable polymorph in this dataset   0 meV/atom
Maximum piezoelectric response   0.21 C/m2
Calculated total energy   -4.34 eV/atom
ρ   4.6 Mg/m³

Cell lengths 9.5254, 8.0902, 11.7442 Å; angles 53.64, 43.16, 83.20 degrees
Element x y z (fractional)
Sr  0.0000  0.0000  0.0000
Sr  0.2500  0.2500  0.2500
Sr  0.3612  0.7008  0.3048
Sr  0.6168  0.9452  0.5492
Sr  0.7008  0.3612  0.6332
Sr  0.9452  0.6168  0.8888
As  0.0165  0.5275  0.1429
As  0.1071  0.9369  0.2335
As  0.4173  0.5845  0.5878
As  0.5275  0.0165  0.3131
As  0.5845  0.4173  0.4104
As  0.6622  0.8396  0.8327
As  0.8396  0.6622  0.6655
As  0.9369  0.1071  0.7225



A plane-wave DFT calculation with PBE-GGA was carried out for a relaxed structure of HgH8C2Br3N.

Results
Space-group type   No. 11
Formation energy from the elements   -0.39 eV per atom
Magnetization   0.003 μB per cell
Calculated total energy   -4.31 eV/atom
ρ   3.3 Mg/m³

Cell lengths 7.1816, 6.5200, 10.4287 Å; angles 90.00, 97.59, 90.00 degrees
Element x y z (fractional)
Hg  0.0947  0.2500  0.1365
Hg  0.9053  0.7500  0.8635
H  0.2389  0.2500  0.8137
H  0.2724  0.1141  0.6050
H  0.2724  0.3859  0.6050
H  0.3705  0.6136  0.3756
H  0.3705  0.8864  0.3756
H  0.4416  0.1204  0.8225
H  0.4416  0.3796  0.8225
H  0.4722  0.7500  0.5149
H  0.5278  0.2500  0.4851
H  0.5584  0.6204  0.1775
H  0.5584  0.8796  0.1775
H  0.6295  0.1136  0.6244
H  0.6295  0.3864  0.6244
H  0.7276  0.6141  0.3950
H  0.7276  0.8859  0.3950
H  0.7611  0.7500  0.1863
C  0.3555  0.2500  0.6380
C  0.4532  0.7500  0.4086
C  0.5468  0.2500  0.5914
C  0.6445  0.7500  0.3620
Br  0.0308  0.7500  0.6468
Br  0.0656  0.7500  0.1083
Br  0.4644  0.2500  0.1317
Br  0.5356  0.7500  0.8683
Br  0.9344  0.2500  0.8917
Br  0.9692  0.2500  0.3532
N  0.3715  0.2500  0.7833
N  0.6285  0.7500  0.2167



A plane-wave DFT calculation with PBE-GGA was carried out for a relaxed structure of Ho12Ni6Pb.

Results
Space-group type   No. 204
Formation energy from the elements   -0.39 eV per atom
Calculated total energy   -5.30 eV/atom
ρ   9.3 Mg/m³

Cell lengths 8.3871, 8.3871, 8.3871 Å; angles 109.47, 109.47, 109.47 degrees
Element x y z (fractional)
Ho  0.1176  0.8122  0.3055
Ho  0.1878  0.3055  0.4933
Ho  0.1878  0.6945  0.8824
Ho  0.3055  0.1176  0.8122
Ho  0.3055  0.4933  0.1878
Ho  0.4933  0.1878  0.3055
Ho  0.5067  0.8122  0.6945
Ho  0.6945  0.5067  0.8122
Ho  0.6945  0.8824  0.1878
Ho  0.8122  0.3055  0.1176
Ho  0.8122  0.6945  0.5067
Ho  0.8824  0.1878  0.6945
Ni  0.1235  0.6235  0.5000
Ni  0.3765  0.5000  0.8765
Ni  0.5000  0.1235  0.6235
Ni  0.5000  0.8765  0.3765
Ni  0.6235  0.5000  0.1235
Ni  0.8765  0.3765  0.5000
Pb  0.0000  0.0000  0.0000



A plane-wave DFT calculation with PBE-GGA was carried out for a relaxed structure of SrCeEuSbO6.

Results
Space-group type   No. 118
Formation energy from the elements   -2.96 eV per atom
Magnetization   11.992 μB per cell
Calculated total energy   -7.71 eV/atom
ρ   6.4 Mg/m³

Cell lengths 5.9717, 5.9717, 8.6533 Å; angles 90.00, 90.00, 90.00 degrees
Element x y z (fractional)
Sr  0.0000  0.5000  0.2500
Sr  0.5000  0.0000  0.7500
Ce  0.0000  0.0000  0.5000
Ce  0.5000  0.5000  0.0000
Eu  0.0000  0.5000  0.7500
Eu  0.5000  0.0000  0.2500
Sb  0.0000  0.0000  0.0000
Sb  0.5000  0.5000  0.5000
O  0.0000  0.0000  0.2396
O  0.0000  0.0000  0.7604
O  0.1637  0.3080  0.9976
O  0.1920  0.3363  0.5024
O  0.3080  0.8363  0.0024
O  0.3363  0.8080  0.4976
O  0.5000  0.5000  0.2604
O  0.5000  0.5000  0.7396
O  0.6637  0.1920  0.4976
O  0.6920  0.1637  0.0024
O  0.8080  0.6637  0.5024
O  0.8363  0.6920  0.9976



A plane-wave DFT calculation with PBE-GGA was carried out for a relaxed structure of Sr8MgP4I4O16.

Results
Space-group type   No. 1
Formation energy from the elements   -2.89 eV per atom
Magnetization   0.000 μB per cell
Energy above the most stable polymorph in this dataset   12 meV/atom
Calculated total energy   -6.26 eV/atom
ρ   3.8 Mg/m³

Cell lengths 8.9083, 8.9615, 9.7230 Å; angles 90.42, 115.82, 90.88 degrees
Element x y z (fractional)
Sr  0.0000  0.0000  0.0000
Sr  0.0025  0.1101  0.6198
Sr  0.4240  0.4919  0.7110
Sr  0.4557  0.6037  0.1021
Sr  0.4925  0.9633  0.6154
Sr  0.5371  0.1215  0.9893
Sr  0.9376  0.6055  0.7191
Sr  0.9421  0.4701  0.0989
Mg  0.4434  0.9711  0.2514
P  0.2016  0.3475  0.8910
P  0.2524  0.8522  0.8386
P  0.7141  0.7403  0.9011
P  0.7277  0.2462  0.7964
I  0.1595  0.1808  0.3644
I  0.2818  0.6516  0.3608
I  0.7228  0.3421  0.3198
I  0.8197  0.7956  0.3839
O  0.0646  0.8783  0.7946
O  0.1094  0.3753  0.7152
O  0.1483  0.4659  0.9786
O  0.1682  0.1850  0.9223
O  0.2728  0.6882  0.8002
O  0.3094  0.9690  0.7524
O  0.3593  0.8779  0.0167
O  0.3931  0.3723  0.9400
O  0.5356  0.2212  0.7425
O  0.6205  0.7174  0.7241
O  0.6497  0.6184  0.9774
O  0.6922  0.9043  0.9400
O  0.7607  0.4072  0.7629
O  0.7868  0.1200  0.7215
O  0.8136  0.2238  0.9747
O  0.9047  0.7146  0.9560